P | {"formula": "SrCa7Ti2Mn6O20", "functional": "PBE+U", "state": "relaxed", "vol_a3_per_atom": 13.6, "spacegroup": "P1, No. 1", "lattice": [[11.115, 0.000, 0.000], [-0.390, 11.211, 0.000], [-0.109, -0.006, 15.752]], "species": ["Sr", "Sr", "Sr", "Sr", "Ca", "Ca", "Ca", "Ca", "Ca", "Ca", "Ca", "Ca", "Ca", "Ca", "Ca", "Ca", "Ca", "Ca", "Ca", "Ca", "Ca", "Ca", "Ca", "Ca", "Ca", "Ca", "Ca", "Ca", "Ca", "Ca", "Ca", "Ca", "Ti", "Ti", "Ti", "Ti", "Ti", "Ti", "Ti", "Ti", "Mn", "Mn", "Mn", "Mn", "Mn", "Mn", "Mn", "Mn", "Mn", "Mn", "Mn", "Mn", "Mn", "Mn", "Mn", "Mn", "Mn", "Mn", "Mn", "Mn", "Mn", "Mn", "Mn", "Mn", "O", "O", "O", "O", "O", "O", "O", "O", "O", "O", "O", "O", "O", "O", "O", "O", "O", "O", "O", "O", "O", "O", "O", "O", "O", "O", "O", "O", "O", "O", "O", "O", "O", "O", "O", "O", "O", "O", "O", "O", "O", "O", "O", "O", "O", "O", "O", "O", "O", "O", "O", "O", "O", "O", "O", "O", "O", "O", "O", "O", "O", "O", "O", "O", "O", "O", "O", "O", "O", "O", "O", "O", "O", "O", "O", "O", "O", "O", "O", "O"], "frac_coords": [[0.000, 0.000, 0.000], [0.011, 0.006, 0.271], [0.251, 0.721, 0.271], [0.731, 0.240, 0.014], [0.013, 0.498, 0.276], [0.017, 0.999, 0.769], [0.018, 0.498, 0.769], [0.256, 0.726, 0.771], [0.257, 0.222, 0.771], [0.262, 0.219, 0.273], [0.281, 0.235, 0.999], [0.284, 0.735, 0.001], [0.291, 0.237, 0.514], [0.293, 0.737, 0.513], [0.458, 0.481, 0.770], [0.461, 0.984, 0.770], [0.474, 0.487, 0.265], [0.481, 0.990, 0.263], [0.486, 0.978, 0.006], [0.490, 0.480, 0.010], [0.511, 0.994, 0.527], [0.512, 0.495, 0.525], [0.690, 0.256, 0.762], [0.690, 0.757, 0.762], [0.693, 0.258, 0.265], [0.695, 0.759, 0.264], [0.718, 0.258, 0.520], [0.718, 0.759, 0.520], [0.727, 0.738, 0.017], [0.995, 0.471, 0.507], [0.999, 0.509, 0.995], [0.999, 0.969, 0.506], [0.004, 0.715, 0.417], [0.005, 0.221, 0.416], [0.247, 0.465, 0.135], [0.256, 0.967, 0.135], [0.258, 0.478, 0.399], [0.263, 0.982, 0.398], [0.974, 0.781, 0.151], [0.980, 0.296, 0.154], [0.009, 0.228, 0.870], [0.010, 0.725, 0.871], [0.241, 0.484, 0.893], [0.242, 0.984, 0.891], [0.243, 0.478, 0.635], [0.243, 0.977, 0.634], [0.484, 0.238, 0.642], [0.485, 0.736, 0.642], [0.490, 0.237, 0.141], [0.493, 0.238, 0.887], [0.494, 0.733, 0.142], [0.496, 0.737, 0.888], [0.499, 0.250, 0.390], [0.502, 0.749, 0.389], [0.734, 0.490, 0.647], [0.734, 0.981, 0.134], [0.735, 0.991, 0.647], [0.736, 0.000, 0.892], [0.738, 0.484, 0.138], [0.739, 0.016, 0.399], [0.739, 0.513, 0.398], [0.741, 0.503, 0.894], [0.967, 0.785, 0.654], [0.969, 0.286, 0.653], [0.036, 0.688, 0.230], [0.044, 0.699, 0.747], [0.046, 0.200, 0.746], [0.050, 0.372, 0.386], [0.050, 0.865, 0.383], [0.059, 0.212, 0.232], [0.068, 0.440, 0.136], [0.071, 0.441, 0.637], [0.071, 0.939, 0.637], [0.081, 0.387, 0.885], [0.082, 0.912, 0.140], [0.084, 0.882, 0.880], [0.137, 0.126, 0.421], [0.138, 0.627, 0.426], [0.144, 0.126, 0.912], [0.145, 0.626, 0.918], [0.226, 0.938, 0.511], [0.227, 0.436, 0.512], [0.229, 0.501, 0.275], [0.240, 0.009, 0.272], [0.242, 0.439, 0.021], [0.243, 0.945, 0.021], [0.245, 0.516, 0.755], [0.246, 0.012, 0.754], [0.321, 0.331, 0.160], [0.334, 0.821, 0.650], [0.335, 0.322, 0.651], [0.337, 0.839, 0.157], [0.343, 0.337, 0.379], [0.348, 0.843, 0.380], [0.349, 0.345, 0.875], [0.352, 0.843, 0.878], [0.365, 0.590, 0.127], [0.375, 0.091, 0.123], [0.381, 0.092, 0.609], [0.383, 0.592, 0.609], [0.385, 0.581, 0.413], [0.387, 0.084, 0.416], [0.387, 0.093, 0.907], [0.390, 0.592, 0.910], [0.481, 0.199, 0.760], [0.481, 0.697, 0.762], [0.482, 0.202, 0.267], [0.487, 0.698, 0.267], [0.493, 0.272, 0.018], [0.499, 0.768, 0.018], [0.501, 0.285, 0.514], [0.502, 0.783, 0.513], [0.582, 0.385, 0.664], [0.582, 0.885, 0.663], [0.584, 0.386, 0.161], [0.587, 0.883, 0.162], [0.604, 0.885, 0.864], [0.608, 0.385, 0.868], [0.611, 0.403, 0.357], [0.616, 0.902, 0.355], [0.636, 0.139, 0.890], [0.644, 0.162, 0.401], [0.645, 0.647, 0.895], [0.647, 0.145, 0.631], [0.648, 0.645, 0.632], [0.649, 0.662, 0.401], [0.667, 0.140, 0.145], [0.668, 0.643, 0.140], [0.774, 0.943, 0.009], [0.776, 0.458, 0.521], [0.781, 0.959, 0.521], [0.786, 0.456, 0.013], [0.841, 0.385, 0.717], [0.841, 0.887, 0.719], [0.850, 0.869, 0.199], [0.852, 0.372, 0.207], [0.884, 0.097, 0.876], [0.889, 0.119, 0.370], [0.893, 0.591, 0.875], [0.896, 0.602, 0.373], [0.941, 0.711, 0.050], [0.945, 0.741, 0.524], [0.948, 0.243, 0.524], [0.949, 0.211, 0.059]]}


Q | {"formula": "SrCa7Ti2Mn6O20", "functional": "PBE+U", "state": "relaxed", "vol_a3_per_atom": 13.6, "spacegroup": "P1, No. 1", "lattice": [[7.769, 0.000, 0.000], [-0.066, 7.897, 0.000], [-0.014, -0.095, 7.962]], "species": ["Sr", "Ca", "Ca", "Ca", "Ca", "Ca", "Ca", "Ca", "Ti", "Ti", "Mn", "Mn", "Mn", "Mn", "Mn", "Mn", "O", "O", "O", "O", "O", "O", "O", "O", "O", "O", "O", "O", "O", "O", "O", "O", "O", "O", "O", "O"], "frac_coords": [[0.000, 0.000, 0.000], [0.488, 0.506, 0.007], [0.508, 0.494, 0.585], [0.513, 0.021, 0.577], [0.520, 0.002, 0.030], [0.945, 0.008, 0.544], [0.946, 0.490, 0.580], [0.953, 0.491, 0.014], [0.224, 0.262, 0.292], [0.231, 0.690, 0.276], [0.238, 0.741, 0.757], [0.244, 0.244, 0.756], [0.717, 0.745, 0.291], [0.737, 0.246, 0.800], [0.737, 0.748, 0.784], [0.739, 0.251, 0.291], [0.006, 0.234, 0.361], [0.020, 0.770, 0.214], [0.208, 0.992, 0.707], [0.227, 0.471, 0.177], [0.236, 0.662, 0.499], [0.271, 0.107, 0.132], [0.277, 0.491, 0.795], [0.353, 0.256, 0.482], [0.441, 0.758, 0.194], [0.488, 0.214, 0.823], [0.489, 0.778, 0.819], [0.695, 0.002, 0.319], [0.715, 0.281, 0.541], [0.715, 0.507, 0.823], [0.720, 0.497, 0.227], [0.743, 0.705, 0.535], [0.761, 0.988, 0.768], [0.764, 0.210, 0.051], [0.987, 0.717, 0.825], [0.992, 0.275, 0.783]]}


Winner for stability: Q


P | {"formula": "Ca2TiMnO6", "functional": "PBE+U", "state": "relaxed", "vol_a3_per_atom": 11.1, "lattice": [[4.057, 0.095, 3.499], [2.383, -8.749, -2.525], [2.924, 4.493, -7.615]], "species": ["Ca", "Ca", "Ca", "Ca", "Ca", "Ca", "Ca", "Ca", "O", "O", "O", "O", "O", "O", "O", "O", "O", "O", "O", "O", "O", "O", "O", "O", "O", "O", "O", "O", "O", "O", "O", "O", "Ti", "Ti", "Ti", "Ti", "Mn", "Mn", "Mn", "Mn"], "frac_coords": [[0.813, 0.938, 0.625], [0.437, 0.813, 0.875], [0.063, 0.688, 0.125], [0.938, 0.312, 0.875], [0.687, 0.562, 0.375], [0.312, 0.437, 0.625], [0.562, 0.188, 0.125], [0.188, 0.063, 0.375], [0.726, 0.077, 0.846], [0.226, 0.577, 0.846], [0.259, 0.049, 0.901], [0.491, 0.201, 0.599], [0.437, 0.310, 0.874], [0.759, 0.549, 0.901], [0.976, 0.827, 0.346], [0.774, 0.423, 0.154], [0.991, 0.701, 0.599], [0.024, 0.173, 0.654], [0.563, 0.690, 0.126], [0.241, 0.451, 0.099], [0.063, 0.190, 0.126], [0.687, 0.060, 0.374], [0.313, 0.940, 0.626], [0.509, 0.799, 0.401], [0.476, 0.327, 0.346], [0.813, 0.440, 0.626], [0.187, 0.560, 0.374], [0.274, 0.923, 0.154], [0.937, 0.810, 0.874], [0.741, 0.951, 0.099], [0.009, 0.299, 0.401], [0.524, 0.673, 0.654], [0.000, 0.000, 0.000], [0.250, 0.750, 0.500], [0.750, 0.250, 0.500], [0.500, 0.500, 0.000], [0.625, 0.875, 0.250], [0.375, 0.125, 0.750], [0.125, 0.375, 0.250], [0.875, 0.625, 0.750]]}


Q | {"formula": "Ca2TiMnO6", "functional": "PBE+U", "state": "relaxed", "vol_a3_per_atom": 11.1, "lattice": [[5.431, -0.003, -5.370], [-5.431, -0.003, -5.370], [0.000, 7.618, -5.366]], "species": ["Ca", "Ca", "Ca", "Ca", "Ca", "Ca", "Ca", "Ca", "O", "O", "O", "O", "O", "O", "O", "O", "O", "O", "O", "O", "O", "O", "O", "O", "O", "O", "O", "O", "O", "O", "O", "O", "Ti", "Ti", "Ti", "Ti", "Mn", "Mn", "Mn", "Mn"], "frac_coords": [[0.398, 0.359, 0.249], [0.109, 0.648, 0.749], [0.609, 0.148, 0.749], [0.602, 0.641, 0.751], [0.898, 0.859, 0.249], [0.102, 0.141, 0.751], [0.891, 0.352, 0.251], [0.391, 0.852, 0.251], [0.772, 0.981, 0.461], [0.978, 0.192, 0.037], [0.231, 0.522, 0.961], [0.349, 0.332, 0.748], [0.770, 0.479, 0.038], [0.082, 0.599, 0.248], [0.478, 0.692, 0.037], [0.522, 0.308, 0.963], [0.229, 0.020, 0.538], [0.151, 0.168, 0.252], [0.651, 0.668, 0.253], [0.418, 0.901, 0.753], [0.918, 0.401, 0.752], [0.849, 0.832, 0.747], [0.272, 0.481, 0.461], [0.022, 0.808, 0.963], [0.582, 0.099, 0.247], [0.442, 0.728, 0.537], [0.270, 0.979, 0.038], [0.942, 0.228, 0.537], [0.729, 0.520, 0.538], [0.058, 0.772, 0.463], [0.558, 0.272, 0.463], [0.731, 0.022, 0.961], [0.250, 0.250, 0.000], [0.000, 0.500, 0.500], [0.750, 0.750, 0.000], [0.500, 0.000, 0.500], [0.500, 0.500, 0.500], [0.250, 0.750, 0.000], [0.000, 0.000, 0.500], [0.750, 0.250, 0.000]]}


Winner for stability: Q


P | {"formula": "Ca4TiMn3O11", "functional": "PBE+U", "state": "relaxed", "vol_a3_per_atom": 12.1, "spacegroup": "Pmm2, No. 25", "lattice": [[7.733, 0.000, 0.000], [0.000, 7.756, 0.000], [0.000, 0.000, 7.647]], "species": ["Ca", "Ca", "Ca", "Ca", "Ca", "Ca", "Ca", "Ca", "Ti", "Ti", "Mn", "Mn", "Mn", "Mn", "Mn", "Mn", "O", "O", "O", "O", "O", "O", "O", "O", "O", "O", "O", "O", "O", "O", "O", "O", "O", "O", "O", "O", "O", "O"], "frac_coords": [[0.240, 0.250, 0.000], [0.240, 0.750, 0.000], [0.246, 0.246, 0.474], [0.246, 0.754, 0.474], [0.754, 0.246, 0.474], [0.754, 0.754, 0.474], [0.760, 0.250, 0.000], [0.760, 0.750, 0.000], [0.500, 0.000, 0.733], [0.500, 0.500, 0.705], [0.000, 0.000, 0.224], [0.000, 0.000, 0.710], [0.000, 0.500, 0.217], [0.000, 0.500, 0.722], [0.500, 0.000, 0.224], [0.500, 0.500, 0.223], [0.000, 0.000, 0.466], [0.000, 0.000, 0.965], [0.000, 0.253, 0.226], [0.000, 0.257, 0.686], [0.000, 0.500, 0.968], [0.000, 0.743, 0.686], [0.000, 0.747, 0.226], [0.244, 0.500, 0.237], [0.246, 0.500, 0.694], [0.252, 0.000, 0.231], [0.253, 0.000, 0.693], [0.500, 0.000, 0.963], [0.500, 0.241, 0.676], [0.500, 0.247, 0.232], [0.500, 0.500, 0.463], [0.500, 0.500, 0.964], [0.500, 0.753, 0.232], [0.500, 0.759, 0.676], [0.747, 0.000, 0.693], [0.748, 0.000, 0.231], [0.754, 0.500, 0.694], [0.756, 0.500, 0.237]]}


Q | {"formula": "Ca4TiMn3O11", "functional": "PBE+U", "state": "relaxed", "vol_a3_per_atom": 12.3, "spacegroup": "P1, No. 1", "lattice": [[5.438, 0.000, 0.000], [0.239, 10.890, 0.000], [0.068, 0.097, 15.736]], "species": ["Ca", "Ca", "Ca", "Ca", "Ca", "Ca", "Ca", "Ca", "Ca", "Ca", "Ca", "Ca", "Ca", "Ca", "Ca", "Ca", "Ti", "Ti", "Ti", "Ti", "Mn", "Mn", "Mn", "Mn", "Mn", "Mn", "Mn", "Mn", "Mn", "Mn", "Mn", "Mn", "O", "O", "O", "O", "O", "O", "O", "O", "O", "O", "O", "O", "O", "O", "O", "O", "O", "O", "O", "O", "O", "O", "O", "O", "O", "O", "O", "O", "O", "O", "O", "O", "O", "O", "O", "O", "O", "O", "O", "O", "O", "O", "O", "O"], "frac_coords": [[0.000, 0.000, 0.000], [0.001, 0.507, 0.994], [0.002, 0.044, 0.272], [0.012, 0.997, 0.533], [0.055, 0.489, 0.275], [0.476, 0.254, 0.277], [0.488, 0.236, 0.527], [0.506, 0.234, 0.001], [0.506, 0.794, 0.768], [0.508, 0.769, 0.998], [0.512, 0.280, 0.766], [0.514, 0.770, 0.539], [0.540, 0.813, 0.271], [0.985, 0.538, 0.765], [0.989, 0.503, 0.535], [0.995, 0.039, 0.768], [0.487, 0.503, 0.401], [0.641, 0.537, 0.158], [0.963, 0.252, 0.135], [0.983, 0.258, 0.403], [0.000, 0.768, 0.648], [0.002, 0.766, 0.887], [0.004, 0.271, 0.646], [0.004, 0.784, 0.136], [0.009, 0.272, 0.889], [0.043, 0.772, 0.402], [0.492, 0.519, 0.644], [0.495, 0.519, 0.883], [0.496, 0.015, 0.141], [0.501, 0.019, 0.888], [0.505, 0.021, 0.647], [0.518, 0.012, 0.397], [0.050, 0.265, 0.259], [0.079, 0.266, 0.770], [0.080, 0.753, 0.767], [0.184, 0.120, 0.121], [0.210, 0.125, 0.413], [0.212, 0.626, 0.623], [0.218, 0.130, 0.622], [0.218, 0.626, 0.906], [0.221, 0.130, 0.913], [0.264, 0.628, 0.363], [0.275, 0.879, 0.904], [0.278, 0.376, 0.410], [0.281, 0.880, 0.632], [0.290, 0.380, 0.614], [0.297, 0.381, 0.919], [0.341, 0.852, 0.138], [0.346, 0.866, 0.408], [0.419, 0.499, 0.761], [0.427, 0.021, 0.768], [0.432, 0.024, 0.267], [0.450, 0.462, 0.236], [0.510, 0.569, 0.056], [0.564, 0.550, 0.508], [0.566, 0.015, 0.015], [0.580, 0.017, 0.522], [0.660, 0.185, 0.150], [0.704, 0.665, 0.663], [0.706, 0.662, 0.874], [0.713, 0.161, 0.378], [0.717, 0.165, 0.661], [0.723, 0.165, 0.876], [0.783, 0.423, 0.373], [0.788, 0.911, 0.871], [0.790, 0.913, 0.666], [0.794, 0.420, 0.657], [0.797, 0.419, 0.877], [0.801, 0.932, 0.166], [0.809, 0.664, 0.214], [0.813, 0.906, 0.365], [0.911, 0.281, 0.514], [0.919, 0.439, 0.139], [0.933, 0.280, 0.017], [0.943, 0.773, 0.524], [0.945, 0.766, 0.013]]}


Winner for stability: Q